[1]
## Ag10Te4Br3 (PBE)

Data for an optimized crystal structure of Ag10Te4Br3.

Values from the calculation:
symmetry = Cmcm (63)
energy above the lowest structure with this stoichiometry = 0 meV per atom
calculated formation energy = -0.2732 eV/atom

Cell: 11.186 11.186 13.955 Å, 90.00 90.00 91.32°
Sites, in units of the cell vectors:
Ag  0.820  0.982  0.926
Te  0.886  0.114  0.410
Te  0.886  0.114  0.090
Te  0.691  0.952  0.750
Ag  0.399  0.325  0.645
Te  0.708  0.476  0.250
Ag  0.151  0.629  0.365
Ag  0.168  0.639  0.600
Ag  0.982  0.820  0.426
Ag  0.399  0.325  0.855
Ag  0.325  0.399  0.355
Ag  0.849  0.371  0.635
Ag  0.675  0.601  0.855
Ag  0.141  0.859  0.250
Br  0.500  0.000  0.000
Te  0.524  0.292  0.250
Br  0.750  0.750  0.000
Te  0.620  0.380  0.549
Ag  0.151  0.629  0.135
Ag  0.629  0.151  0.635
Ag  0.849  0.371  0.865
Br  0.636  0.891  0.250
Ag  0.832  0.361  0.100
Ag  0.639  0.168  0.400
Te  0.380  0.620  0.451
Ag  0.371  0.849  0.135
Ag  0.018  0.180  0.574
Ag  0.937  0.878  0.750
Te  0.048  0.309  0.750
Ag  0.168  0.639  0.900
Ag  0.859  0.141  0.750
Ag  0.820  0.982  0.574
Ag  0.063  0.122  0.250
Ag  0.361  0.832  0.900
Te  0.620  0.380  0.951
Ag  0.639  0.168  0.100
Br  0.750  0.750  0.500
Ag  0.325  0.399  0.145
Te  0.114  0.886  0.910
Ag  0.374  0.626  0.250
Ag  0.626  0.374  0.750
Te  0.380  0.620  0.049
Ag  0.982  0.820  0.074
Br  0.891  0.636  0.750
Te  0.476  0.708  0.750
Ag  0.601  0.675  0.145
Br  0.250  0.250  0.000
Ag  0.361  0.832  0.600
Ag  0.832  0.361  0.400
Br  0.000  0.500  0.000
Br  0.500  0.000  0.500
Ag  0.018  0.180  0.926
Ag  0.601  0.675  0.355
Br  0.364  0.109  0.750
Ag  0.180  0.018  0.426
Te  0.952  0.691  0.250
Ag  0.629  0.151  0.865
Br  0.250  0.250  0.500
Te  0.114  0.886  0.590
Te  0.309  0.048  0.250
Br  0.000  0.500  0.500
Br  0.109  0.364  0.250
Ag  0.122  0.063  0.750
Ag  0.180  0.018  0.074
Ag  0.878  0.937  0.250
Ag  0.371  0.849  0.365
Te  0.292  0.524  0.750
Ag  0.675  0.601  0.645

[2]
## NaErTi2O6 (PBE)

Data for an optimized crystal structure of NaErTi2O6.

Values from the calculation:
magnetic moment = 0.00 μB/atom
symmetry = Pmn2_1 (31)
calculated formation energy = -3.4468 eV/atom

Cell: 5.310 5.527 7.611 Å, 90.00 90.00 90.00°
Sites, in units of the cell vectors:
O  0.778  0.036  0.208
O  0.689  0.556  0.195
O  0.421  0.222  0.000
O  0.607  0.275  0.500
Ti  0.512  0.264  0.247
O  0.921  0.778  0.500
Er  0.019  0.179  0.500
O  0.107  0.725  0.000
Ti  0.012  0.736  0.253
Na  0.494  0.714  0.500
O  0.189  0.444  0.695
O  0.278  0.964  0.708
Na  0.994  0.286  0.000
O  0.689  0.556  0.805
Ti  0.012  0.736  0.747
Ti  0.512  0.264  0.753
O  0.778  0.036  0.792
O  0.278  0.964  0.292
O  0.189  0.444  0.305
Er  0.519  0.821  0.000

[3]
## Cd4FeCu10Sn5Se20 (PBE)

Data for an optimized crystal structure of Cd4FeCu10Sn5Se20.

Values from the calculation:
magnetic moment = 0.10 μB/atom
symmetry = C2 (5)
calculated formation energy = -0.5777 eV/atom

Cell: 7.159 7.159 26.335 Å, 89.49 89.49 48.61°
Sites, in units of the cell vectors:
Cu  0.500  0.900  0.950
Se  0.491  0.382  0.077
Se  0.819  0.709  0.123
Cd  0.200  0.599  0.900
Se  0.093  0.978  0.677
Cu  0.502  0.896  0.451
Fe  0.799  0.201  0.500
Cu  0.104  0.498  0.549
Se  0.022  0.907  0.323
Cu  0.299  0.701  0.750
Se  0.291  0.181  0.877
Sn  0.398  0.799  0.598
Se  0.618  0.509  0.923
Cu  0.898  0.301  0.351
Cu  0.699  0.102  0.649
Cu  0.299  0.701  0.250
Se  0.808  0.715  0.620
Cu  0.900  0.300  0.850
Cu  0.700  0.100  0.150
Cd  0.601  0.000  0.300
Se  0.625  0.492  0.428
Cu  0.100  0.500  0.050
Cd  0.401  0.800  0.100
Se  0.883  0.793  0.979
Se  0.084  0.993  0.179
Sn  0.999  0.400  0.200
Se  0.408  0.316  0.221
Cd  0.000  0.399  0.700
Se  0.419  0.310  0.722
Se  0.508  0.375  0.572
Se  0.690  0.581  0.278
Se  0.182  0.121  0.520
Sn  0.600  0.001  0.800
Sn  0.799  0.201  0.000
Se  0.007  0.916  0.821
Sn  0.201  0.602  0.402
Se  0.207  0.117  0.021
Se  0.285  0.192  0.380
Se  0.684  0.592  0.779
Se  0.879  0.818  0.480

[4]
## Tb2Au5F21 (PBE)

Data for an optimized crystal structure of Tb2Au5F21.

Values from the calculation:
magnetic moment = 0.00 μB/atom
symmetry = P-1 (2)
calculated formation energy = -2.2342 eV/atom

Cell: 8.108 9.195 12.143 Å, 89.01 89.23 89.22°
Sites, in units of the cell vectors:
F  0.412  0.615  0.689
F  0.417  0.881  0.812
Tb  0.333  0.817  0.999
F  0.149  0.770  0.637
F  0.667  0.100  0.819
F  0.684  0.409  0.675
F  0.827  0.518  0.460
Au  0.023  0.250  0.247
Tb  0.671  0.317  0.497
F  0.416  0.261  0.610
F  0.530  0.128  0.416
Au  0.173  0.276  0.596
F  0.588  0.385  0.311
F  0.810  0.756  0.641
F  0.552  0.387  0.087
F  0.199  0.267  0.137
Au  0.442  0.490  0.209
F  0.500  0.000  0.000
F  0.834  0.918  0.340
F  0.173  0.482  0.540
F  0.592  0.747  0.093
F  0.500  0.500  0.500
F  0.860  0.258  0.125
F  0.190  0.244  0.359
F  0.166  0.082  0.660
F  0.068  0.719  0.417
F  0.584  0.739  0.390
F  0.851  0.230  0.363
F  0.316  0.591  0.325
Au  0.560  0.985  0.705
F  0.852  0.586  0.166
Au  0.827  0.724  0.404
F  0.148  0.414  0.834
F  0.801  0.733  0.863
Tb  0.329  0.683  0.503
F  0.700  0.403  0.896
Tb  0.667  0.183  0.001
Au  0.834  0.776  0.094
F  0.176  0.024  0.970
F  0.140  0.742  0.875
F  0.075  0.797  0.097
F  0.932  0.281  0.583
F  0.333  0.900  0.181
F  0.700  0.091  0.598
F  0.824  0.976  0.030
Au  0.166  0.224  0.906
F  0.300  0.597  0.104
Au  0.977  0.750  0.753
Au  0.558  0.510  0.791
F  0.408  0.253  0.907
F  0.583  0.119  0.188
Au  0.440  0.015  0.295
F  0.300  0.909  0.402
F  0.925  0.203  0.903
F  0.448  0.613  0.913
F  0.470  0.872  0.584

[5]
## TeBr6O8 (PBE)

Data for an optimized crystal structure of TeBr6O8.

Values from the calculation:
magnetic moment = 0.13 μB/atom
symmetry = P2_1/c (14)
calculated formation energy = 0.2401 eV/atom

Cell: 8.909 8.841 14.091 Å, 54.67 90.00 90.00°
Sites, in units of the cell vectors:
O  0.919  0.388  0.436
Br  0.193  0.801  0.175
Te  0.500  0.000  0.500
O  0.871  0.747  0.680
O  0.667  0.511  0.929
Br  0.215  0.319  0.858
Br  0.307  0.801  0.675
Br  0.598  0.164  0.597
O  0.980  0.266  0.535
Br  0.693  0.199  0.325
Br  0.785  0.681  0.142
Te  0.000  0.000  0.000
O  0.371  0.253  0.820
O  0.167  0.489  0.571
O  0.419  0.612  0.064
Br  0.807  0.199  0.825
Br  0.715  0.681  0.642
O  0.020  0.734  0.465
O  0.129  0.253  0.320
Br  0.098  0.836  0.903
O  0.629  0.747  0.180
O  0.081  0.612  0.564
O  0.333  0.489  0.071
Br  0.285  0.319  0.358
Br  0.902  0.164  0.097
O  0.581  0.388  0.936
O  0.480  0.734  0.965
O  0.833  0.511  0.429
O  0.520  0.266  0.035
Br  0.402  0.836  0.403

[6]
## SrCaSn (PBE)

Data for an optimized crystal structure of SrCaSn.

Values from the calculation:
symmetry = Pnma (62)
calculated formation energy = -0.6754 eV/atom

Cell: 5.188 8.442 9.693 Å, 90.00 90.00 90.00°
Sites, in units of the cell vectors:
Sr  0.750  0.978  0.682
Sr  0.250  0.522  0.182
Ca  0.750  0.850  0.070
Sn  0.250  0.263  0.610
Sr  0.250  0.022  0.318
Sr  0.750  0.478  0.818
Ca  0.250  0.650  0.570
Sn  0.750  0.237  0.110
Sn  0.250  0.763  0.890
Sn  0.750  0.737  0.390
Ca  0.750  0.350  0.430
Ca  0.250  0.150  0.930

[7]
## BaCdSnS4 (PBE)

Data for an optimized crystal structure of BaCdSnS4.

Values from the calculation:
symmetry = Fdd2 (43)
calculated formation energy = -1.2866 eV/atom

Cell: 15.693 13.018 12.871 Å, 74.62 53.12 52.26°
Sites, in units of the cell vectors:
S  0.071  0.678  0.019
Ba  0.505  0.995  0.995
Sn  0.847  0.903  0.516
Cd  0.515  0.736  0.762
Cd  0.488  0.263  0.735
Sn  0.237  0.012  0.986
S  0.455  0.463  0.806
S  0.954  0.964  0.303
Sn  0.264  0.485  0.013
Ba  0.750  0.250  0.250
S  0.233  0.019  0.678
Sn  0.765  0.986  0.012
S  0.724  0.029  0.213
Cd  0.021  0.229  0.331
Cd  0.919  0.830  0.229
S  0.197  0.550  0.719
S  0.777  0.304  0.466
Ba  0.002  0.494  0.001
S  0.032  0.717  0.525
Cd  0.514  0.735  0.263
S  0.231  0.017  0.179
S  0.947  0.471  0.296
S  0.531  0.716  0.053
S  0.727  0.525  0.717
Sn  0.347  0.403  0.516
S  0.446  0.971  0.294
S  0.572  0.179  0.017
Cd  0.987  0.762  0.736
S  0.787  0.795  0.974
Cd  0.021  0.229  0.830
S  0.453  0.466  0.304
S  0.034  0.213  0.029
S  0.534  0.719  0.550
S  0.221  0.526  0.216
S  0.444  0.974  0.795
S  0.784  0.797  0.473
S  0.037  0.216  0.526
S  0.533  0.218  0.523
Sn  0.734  0.516  0.403
Ba  0.503  0.001  0.494
S  0.946  0.473  0.797
S  0.286  0.296  0.471
Ba  0.756  0.248  0.747
S  0.700  0.053  0.716
Sn  0.734  0.516  0.903
Sn  0.238  0.013  0.485
S  0.725  0.523  0.218
Ba  0.249  0.747  0.248
Cd  0.420  0.331  0.229
S  0.779  0.303  0.964
S  0.289  0.294  0.971
Ba  0.255  0.745  0.745
S  0.279  0.804  0.961
S  0.276  0.806  0.463
S  0.956  0.961  0.804
Ba  0.000  0.500  0.500

[8]
## Ho2Co12Ni5 (PBE)

Data for an optimized crystal structure of Ho2Co12Ni5.

Values from the calculation:
magnetic moment = 1.05 μB/atom
symmetry = P6_3/mmc (194)
calculated formation energy = -0.1049 eV/atom

Cell: 8.293 8.293 8.018 Å, 90.00 90.00 120.00°
Sites, in units of the cell vectors:
Co  0.676  0.838  0.524
Co  0.838  0.162  0.024
Co  0.162  0.324  0.976
Co  0.950  0.327  0.750
Co  0.673  0.623  0.750
Co  0.377  0.327  0.750
Co  0.162  0.838  0.524
Co  0.838  0.676  0.476
Ni  0.667  0.333  0.599
Co  0.838  0.162  0.476
Co  0.676  0.838  0.976
Co  0.162  0.838  0.976
Co  0.950  0.623  0.750
Co  0.327  0.377  0.250
Ni  0.500  0.000  0.500
Co  0.838  0.676  0.024
Ni  0.333  0.667  0.099
Ni  0.333  0.667  0.401
Co  0.324  0.162  0.024
Ho  0.000  0.000  0.250
Co  0.623  0.673  0.250
Co  0.327  0.950  0.250
Co  0.050  0.673  0.250
Ni  0.000  0.500  0.500
Co  0.623  0.950  0.250
Ni  0.000  0.500  0.000
Co  0.377  0.050  0.750
Ni  0.500  0.500  0.000
Co  0.162  0.324  0.524
Ni  0.500  0.500  0.500
Co  0.050  0.377  0.250
Ho  0.333  0.667  0.750
Ho  0.667  0.333  0.250
Co  0.324  0.162  0.476
Co  0.673  0.050  0.750
Ho  0.000  0.000  0.750
Ni  0.667  0.333  0.901
Ni  0.500  0.000  0.000

Ρ for the records above, in order: 6.96; 5.68; 5.43; 6.24; 2.70; 3.86; 4.02; 9.25 g/cm3